Entry 1:
This record from the Materials Project describes crystalline FeS2NO8 at its relaxed geometry. The functional is GGA+U.

Summary:
Magnetic moment = 0.583 μB/atom
VASP energy = -0.4260 Ry per atom
ΔE_f = -1.0536 eV/atom

Cell and atoms, written as POSCAR:
```
FeS2NO8
1.0
1.749 4.314 1.630
-3.626 -2.274 2.449
5.817 -4.154 4.755
Fe S N O
1 2 1 8
direct
0.000 0.000 0.000 Fe
0.333 0.667 0.208 S
0.667 0.333 0.792 S
0.000 0.000 0.500 N
0.087 0.355 0.147 O
0.645 0.733 0.147 O
0.355 0.087 0.853 O
0.267 0.913 0.147 O
0.733 0.645 0.853 O
0.913 0.267 0.853 O
0.333 0.667 0.377 O
0.667 0.333 0.623 O
```

---

Entry 2:
This record from the Materials Project describes crystalline TiMn3Fe2P6O24 at its relaxed geometry. The functional is GGA+U.

Summary:
Magnetic moment = 0.630 μB/atom
VASP energy = -0.5427 Ry per atom
ΔE_f = -2.4525 eV/atom

Cell and atoms, written as POSCAR:
```
TiMn3Fe2P6O24
1.0
-7.479 -3.341 2.303
-2.987 -6.684 -4.336
-0.067 -7.617 3.791
Ti Mn Fe P O
1 3 2 6 24
direct
0.147 0.147 0.147 Ti
0.852 0.852 0.852 Mn
0.643 0.643 0.643 Mn
0.358 0.358 0.358 Mn
0.999 0.999 0.999 Fe
0.500 0.500 0.500 Fe
0.749 0.449 0.045 P
0.449 0.045 0.749 P
0.045 0.749 0.449 P
0.959 0.250 0.548 P
0.548 0.959 0.250 P
0.250 0.548 0.959 P
0.890 0.686 0.482 O
0.686 0.482 0.890 O
0.946 0.093 0.747 O
0.482 0.890 0.686 O
0.013 0.175 0.387 O
0.763 0.402 0.553 O
0.747 0.946 0.093 O
0.553 0.763 0.402 O
0.816 0.601 0.014 O
0.402 0.553 0.763 O
0.912 0.247 0.063 O
0.601 0.014 0.816 O
0.387 0.013 0.175 O
0.093 0.747 0.946 O
0.592 0.431 0.245 O
0.175 0.387 0.013 O
0.431 0.245 0.592 O
0.247 0.063 0.912 O
0.245 0.592 0.431 O
0.014 0.816 0.601 O
0.507 0.115 0.318 O
0.063 0.912 0.247 O
0.318 0.507 0.115 O
0.115 0.318 0.507 O
```

---

Entry 3:
This record from the Materials Project describes crystalline Ba3MnF6 at its relaxed geometry. The functional is GGA+U.

Summary:
Magnetic moment = 0.500 μB/atom
VASP energy = -0.3949 Ry per atom
ΔE_f = -3.1761 eV/atom

Cell and atoms, written as POSCAR:
```
Ba3MnF6
1.0
2.040 3.095 -6.797
-3.450 -6.068 3.980
-3.924 6.336 -1.833
Ba Mn F
3 1 6
direct
0.500 0.000 0.000 Ba
0.000 0.500 0.500 Ba
0.000 0.000 0.500 Ba
0.000 0.000 0.000 Mn
0.757 0.946 0.272 F
0.243 0.054 0.728 F
0.612 0.699 0.773 F
0.388 0.301 0.227 F
0.926 0.631 0.917 F
0.074 0.369 0.083 F
```

---

Entry 4:
This record from the Materials Project describes crystalline SrGdFeCoO6 at its relaxed geometry. The functional is GGA+U.

Summary:
Magnetic moment = 1.300 μB/atom
VASP energy = -0.5590 Ry per atom
ΔE_f = -2.3037 eV/atom

Cell and atoms, written as POSCAR:
```
SrGdFeCoO6
1.0
0.000 3.832 3.832
3.832 0.000 3.832
3.832 3.832 0.000
Sr Gd Fe Co O
1 1 1 1 6
direct
0.750 0.750 0.750 Sr
0.250 0.250 0.250 Gd
0.500 0.500 0.500 Fe
0.000 0.000 0.000 Co
0.244 0.244 0.756 O
0.756 0.756 0.244 O
0.756 0.244 0.244 O
0.244 0.756 0.756 O
0.756 0.244 0.756 O
0.244 0.756 0.244 O
```

---

Entry 5:
This record from the Materials Project describes crystalline Li4Cr3FeO8 at its relaxed geometry. The functional is GGA+U.

Summary:
Magnetic moment = 0.875 μB/atom
VASP energy = -0.4929 Ry per atom
ΔE_f = -2.2754 eV/atom

Cell and atoms, written as POSCAR:
```
Li4Cr3FeO8
1.0
5.112 -2.939 0.000
5.112 2.939 0.000
3.422 0.000 4.803
Li Cr Fe O
4 3 1 8
direct
0.000 0.500 0.000 Li
0.500 0.000 0.000 Li
0.000 0.000 0.500 Li
0.500 0.500 0.500 Li
0.000 0.500 0.500 Cr
0.500 0.000 0.500 Cr
0.500 0.500 0.000 Cr
0.000 0.000 0.000 Fe
0.742 0.742 0.742 O
0.760 0.255 0.760 O
0.240 0.240 0.745 O
0.745 0.240 0.240 O
0.255 0.760 0.760 O
0.760 0.760 0.255 O
0.240 0.745 0.240 O
0.258 0.258 0.258 O
```

---

Entry 6:
This record from the Materials Project describes crystalline KEuDyWO6 at its relaxed geometry. The functional is GGA+U.

Summary:
Magnetic moment = 0.700 μB/atom
VASP energy = -0.5829 Ry per atom
ΔE_f = -2.9248 eV/atom

Cell and atoms, written as POSCAR:
```
KEuDyWO6
1.0
0.983 0.983 -5.753
-0.742 -4.373 -3.919
-4.541 0.164 -3.793
K Eu Dy W O
1 1 1 1 6
direct
0.750 0.750 0.750 K
0.250 0.250 0.250 Eu
0.000 0.000 0.000 Dy
0.500 0.500 0.500 W
0.733 0.267 0.267 O
0.267 0.733 0.733 O
0.733 0.267 0.733 O
0.267 0.733 0.267 O
0.733 0.733 0.267 O
0.267 0.267 0.733 O
```

---

Entry 7:
This record from the Materials Project describes crystalline Nd2MnFeO6 at its relaxed geometry. The functional is GGA+U.

Summary:
Magnetic moment = 0.900 μB/atom
VASP energy = -0.5689 Ry per atom
ΔE_f = -2.8589 eV/atom

Cell and atoms, written as POSCAR:
```
Nd2MnFeO6
1.0
-2.597 -5.091 1.066
3.466 -0.898 4.160
-1.463 2.626 8.978
Nd Mn Fe O
4 2 2 12
direct
0.565 0.735 0.750 Nd
0.065 0.265 0.750 Nd
0.435 0.265 0.250 Nd
0.935 0.735 0.250 Nd
0.500 0.000 0.000 Mn
0.000 0.000 0.500 Mn
0.500 0.500 0.500 Fe
0.000 0.500 0.000 Fe
0.186 0.737 0.051 O
0.686 0.263 0.449 O
0.804 0.657 0.547 O
0.304 0.343 0.953 O
0.814 0.263 0.949 O
0.314 0.737 0.551 O
0.196 0.343 0.453 O
0.696 0.657 0.047 O
0.974 0.848 0.746 O
0.474 0.152 0.754 O
0.026 0.152 0.254 O
0.526 0.848 0.246 O
```

---

Entry 8:
This record from the Materials Project describes crystalline LiCo6O2F10 at its relaxed geometry. The functional is GGA+U.

Summary:
Magnetic moment = 1.000 μB/atom
VASP energy = -0.3747 Ry per atom
ΔE_f = -2.0564 eV/atom

Cell and atoms, written as POSCAR:
```
LiCo6O2F10
1.0
5.187 -0.458 0.028
-0.458 5.137 0.032
0.061 0.066 9.176
Li Co O F
1 6 2 10
direct
0.673 0.284 0.665 Li
0.966 0.971 0.007 Co
0.033 0.045 0.326 Co
0.023 0.975 0.668 Co
0.555 0.451 0.167 Co
0.442 0.570 0.858 Co
0.448 0.577 0.474 Co
0.333 0.336 0.320 O
0.669 0.678 0.017 O
0.166 0.843 0.167 F
0.168 0.788 0.831 F
0.214 0.833 0.504 F
0.293 0.273 0.994 F
0.312 0.312 0.671 F
0.690 0.664 0.663 F
0.736 0.711 0.333 F
0.810 0.200 0.166 F
0.816 0.135 0.822 F
0.847 0.161 0.511 F
```

---

Entry 9:
This record from the Materials Project describes crystalline Li2CrO4 at its relaxed geometry. The functional is GGA+U.

Summary:
Magnetic moment = 0.000 μB/atom
VASP energy = -0.4493 Ry per atom
ΔE_f = -2.0387 eV/atom

Cell and atoms, written as POSCAR:
```
Li2CrO4
1.0
-3.026 1.061 4.055
5.288 0.070 1.044
1.596 6.600 -3.776
Li Cr O
4 2 8
direct
0.755 0.283 0.181 Li
0.964 0.741 0.443 Li
0.036 0.259 0.557 Li
0.245 0.717 0.819 Li
0.407 0.706 0.247 Cr
0.593 0.294 0.753 Cr
0.239 0.811 0.054 O
0.551 0.504 0.211 O
0.703 0.976 0.368 O
0.155 0.539 0.360 O
0.845 0.461 0.640 O
0.297 0.024 0.632 O
0.449 0.496 0.789 O
0.761 0.189 0.946 O
```

---

Entry 10:
This record from the Materials Project describes crystalline Ba2Nd2Fe3CoO12 at its relaxed geometry. The functional is GGA+U.

Summary:
Magnetic moment = 0.750 μB/atom
VASP energy = -0.4979 Ry per atom
ΔE_f = -2.3429 eV/atom

Cell and atoms, written as POSCAR:
```
Ba2Nd2Fe3CoO12
1.0
5.567 0.000 0.000
0.000 5.567 0.000
0.000 0.000 7.939
Ba Nd Fe Co O
2 2 3 1 12
direct
0.500 0.000 0.749 Ba
0.000 0.500 0.251 Ba
0.000 0.500 0.746 Nd
0.500 0.000 0.254 Nd
0.000 0.000 0.500 Fe
0.500 0.500 0.000 Fe
0.000 0.000 0.000 Fe
0.500 0.500 0.500 Co
0.745 0.745 0.500 O
0.255 0.255 0.500 O
0.750 0.750 0.000 O
0.250 0.250 0.000 O
0.255 0.745 0.500 O
0.745 0.255 0.500 O
0.250 0.750 0.000 O
0.750 0.250 0.000 O
0.500 0.500 0.747 O
0.000 0.000 0.748 O
0.500 0.500 0.253 O
0.000 0.000 0.252 O
```

---

Entry 11:
This record from the Materials Project describes crystalline V4O3F9 at its relaxed geometry. The functional is GGA+U.

Summary:
VASP energy = -0.4716 Ry per atom
ΔE_f = -2.9544 eV/atom

Cell and atoms, written as POSCAR:
```
V4O3F9
1.0
4.262 2.991 -0.070
0.080 4.523 2.998
1.896 -2.593 8.606
V O F
4 3 9
direct
0.751 0.500 0.250 V
0.465 0.013 0.499 V
0.264 0.519 0.745 V
0.037 0.984 0.003 V
0.396 0.762 0.081 O
0.403 0.742 0.669 O
0.104 0.240 0.419 O
0.913 0.760 0.170 F
0.908 0.744 0.583 F
0.961 0.261 0.120 F
0.538 0.742 0.378 F
0.591 0.239 0.332 F
0.585 0.245 0.922 F
0.475 0.239 0.631 F
0.027 0.750 0.875 F
0.081 0.259 0.826 F
```

---

Entry 12:
This record from the Materials Project describes crystalline MgMnPb2WO6 at its relaxed geometry. The functional is GGA+U.

Summary:
Magnetic moment = 0.453 μB/atom
VASP energy = -0.4606 Ry per atom
ΔE_f = -1.6666 eV/atom

Cell and atoms, written as POSCAR:
```
MgMnPb2WO6
1.0
4.740 -1.640 3.513
4.646 -2.811 -2.499
5.378 2.900 -0.412
Mg Mn Pb W O
1 1 2 1 6
direct
0.000 0.500 0.000 Mg
0.500 0.500 0.500 Mn
0.327 0.173 0.326 Pb
0.673 0.827 0.674 Pb
0.000 0.000 0.000 W
0.763 0.253 0.237 O
0.780 0.220 0.780 O
0.763 0.748 0.237 O
0.237 0.747 0.763 O
0.220 0.780 0.219 O
0.237 0.252 0.763 O
```